This record from Materials Project describes crystalline TmTaOs2 at its relaxed geometry. The functional is r²SCAN.

a = 6.491 Å, b = 6.491 Å, c = 6.491 Å
α = 90.00°, β = 90.00°, γ = 90.00°
Positions (direct):
Tm 0.000 0.000 0.000
Tm 0.000 0.500 0.500
Tm 0.500 0.000 0.500
Tm 0.500 0.500 0.000
Ta 0.000 0.000 0.500
Ta 0.000 0.500 0.000
Ta 0.500 0.000 0.000
Ta 0.500 0.500 0.500
Os 0.250 0.250 0.250
Os 0.250 0.250 0.750
Os 0.250 0.750 0.250
Os 0.250 0.750 0.750
Os 0.750 0.250 0.250
Os 0.750 0.250 0.750
Os 0.750 0.750 0.250
Os 0.750 0.750 0.750

Computed properties:
Total magnetization: 0.000 μB per formula unit
Symmetry: Fm-3m, No. 225
Uncorrected energy: -47.849 eV per atom